## Na10Y6Ta2Si7S5O48 (GGA-PBE)

Data for a geometry-optimized Na10Y6Ta2Si7S5O48 structure.

Cell: 18.5802 9.2987 23.4986 Å, 90.02 90.05 120.07°
Last column: nearest neighbours and their distance in Å.
Fractional positions:
1 O 0.2570 0.6963 0.2553  1 Si 1.68
2 O 0.3527 0.5555 0.5319  1 Si 1.64
3 O 0.5879 0.0262 0.5942  1 Si 1.72, 1 Ta 1.90
4 O 0.8215 0.1254 0.4215  1 S 1.47
5 O 0.5843 0.1454 0.0975  1 Si 1.70
6 O 0.8329 0.1481 0.7471  1 Si 1.62
7 O 0.6775 0.4910 0.3643  1 Si 1.65
8 O 0.3232 0.5285 0.6445  1 Si 1.62
9 O 0.7584 0.8185 0.7558  1 Si 1.68
10 O 0.7415 0.1579 0.2456  1 Si 1.63
11 O 0.5931 0.7095 0.7609  1 Si 1.67
12 O 0.1606 0.8661 0.9705  1 S 1.48
13 O 0.2258 0.2846 0.0332  1 Si 1.63
14 O 0.3203 0.5126 0.9197  1 S 1.47
15 O 0.5677 0.4666 0.5812  1 S 1.49
16 O 0.9281 0.5499 0.7406  1 S 1.47
17 O 0.4365 0.5048 0.4213  1 S 1.49
18 O 0.5841 0.1915 0.6941  1 Si 1.67
19 O 0.5773 0.4531 0.2464  1 S 1.48
20 O 0.4892 0.8094 0.0940  1 S 1.52
21 O 0.9307 0.3491 0.9186  1 S 1.49
22 O 0.1705 0.8663 0.8671  1 S 1.48
23 O 0.5846 0.1829 0.4146  1 Si 1.64
24 O 0.5099 0.8103 0.4143  1 S 1.48
25 O 0.9892 0.1678 0.5941  1 S 1.52
26 O 0.5823 0.9827 0.1972  1 Si 1.73, 1 Ta 1.93
27 O 0.9446 0.3530 0.6352  1 S 1.47
28 O 0.9256 0.4993 0.4139  1 Si 1.63
29 O 0.4303 0.5687 0.0337  1 S 1.47
30 O 0.6582 0.8635 0.9680  1 S 1.48
31 O 0.5592 0.6442 0.3650  1 S 1.49
32 O 0.9315 0.2916 0.5339  1 S 1.47
33 O 0.1571 0.4859 0.7474  1 Si 1.66
34 O 0.0910 0.9746 0.9152  1 S 1.48
35 O 0.0942 0.2079 0.4120  1 S 1.50
36 O 0.1729 0.4782 0.3633  1 S 1.48
37 O 0.3313 0.5149 0.2461  1 Si 1.61
38 O 0.5076 0.1944 0.1959  1 S 1.51
39 O 0.4208 0.0133 0.0981  1 Si 1.68
40 O 0.7523 0.6476 0.5818  1 Si 1.62
41 O 0.7532 0.6506 0.8544  1 Si 1.73
42 O 0.2097 0.1404 0.5260  1 Si 1.66
43 O 0.9175 0.0058 0.1000  1 Si 1.70
44 O 0.7752 0.7128 0.2482  1 S 1.50
45 O 0.3148 0.1507 0.4126  1 Si 1.66
46 O 0.4016 0.9764 0.6987  1 S 1.49
47 O 0.2697 0.6802 0.9650  1 S 1.48
48 O 0.8624 0.5723 0.5305  1 Si 1.65
49 O 0.9016 0.0149 0.8117  1 Si 1.60
50 O 0.8251 0.1277 0.1398  1 Si 1.62
51 O 0.8956 0.9692 0.4133  1 S 1.49
52 O 0.2530 0.8575 0.3547  1 Si 1.72
53 O 0.0837 0.0205 0.5972  1 Si 1.71
54 O 0.3642 0.1670 0.0356  1 Si 1.64
55 O 0.7700 0.8543 0.4648  1 S 1.47
56 O 0.1081 0.0300 0.3065  1 Si 1.61
57 O 0.5701 0.6814 0.4673  1 S 1.47
58 O 0.2426 0.1244 0.9182  1 S 1.49
59 O 0.7214 0.1495 0.5285  1 Si 1.64
60 O 0.1041 0.1942 0.8045  1 Si 1.59
61 O 0.2398 0.1264 0.6359  1 Si 1.59
62 O 0.7323 0.1144 0.6414  1 Si 1.61
63 O 0.0579 0.4667 0.8649  1 S 1.49
64 O 0.0697 0.6836 0.4738  1 Si 1.61
65 O 0.5680 0.4594 0.9745  1 Si 1.62
66 O 0.0927 0.4771 0.2608  1 Si 1.66
67 O 0.2677 0.6536 0.8620  1 S 1.51
68 O 0.9470 0.5445 0.1358  1 S 1.45
69 O 0.5170 0.1982 0.9121  1 Si 1.64
70 O 0.9054 0.9764 0.6994  1 Si 1.72
71 O 0.0774 0.6586 0.3601  1 Si 1.72, 1 Ta 1.91
72 O 0.4407 0.3423 0.6332  1 S 1.45
73 O 0.3976 0.8150 0.9152  1 S 1.47
74 O 0.2401 0.1497 0.2440  1 Si 1.62
75 O 0.5970 0.9869 0.9111  1 S 1.49
76 O 0.2487 0.6416 0.5816  1 Si 1.64
77 O 0.1592 0.4546 0.4677  1 S 1.47
78 O 0.5181 0.8357 0.6960  1 Si 1.74, 1 Ta 1.89
79 O 0.8281 0.5296 0.6428  1 Si 1.61
80 O 0.7401 0.3551 0.1362  1 Si 1.60
81 O 0.0177 0.2007 0.1959  1 Si 1.74, 1 Ta 1.89
82 O 0.7471 0.1210 0.9169  1 S 1.50
83 O 0.4911 0.1695 0.5904  1 S 1.50
84 O 0.4253 0.5219 0.7433  1 Si 1.60
85 O 0.4352 0.3015 0.5304  1 S 1.50
86 O 0.0094 0.8303 0.4118  1 Si 1.66
87 O 0.8523 0.1427 0.0260  1 Si 1.65
88 O 0.8990 0.7859 0.3038  1 S 1.49
89 O 0.4018 0.8280 0.1957  1 Si 1.71
90 O 0.0851 0.9779 0.1938  1 Si 1.67
91 O 0.4445 0.5350 0.1351  1 S 1.47
92 O 0.6587 0.8293 0.2459  1 Si 1.65
93 O 0.6603 0.8409 0.5799  1 Si 1.61
94 O 0.7717 0.6951 0.9659  1 Si 1.62
95 O 0.1518 0.8232 0.2557  1 Si 1.69
96 O 0.7117 0.2831 0.0263  1 Si 1.66
97 O 0.6066 0.1816 0.8063  1 Si 1.60
98 O 0.9062 0.8276 0.9082  1 Si 1.62
99 O 0.0854 0.1893 0.6932  1 Si 1.72, 1 Ta 1.92
100 O 0.4266 0.3593 0.9135  1 Si 1.62
101 O 0.5776 0.4986 0.8602  1 Si 1.74, 1 Ta 1.89
102 O 0.3443 0.1392 0.7414  1 S 1.47
103 O 0.9213 0.8301 0.5984  1 Si 1.68
104 O 0.8118 0.4832 0.9145  1 Si 1.65
105 O 0.8461 0.5522 0.2424  1 S 1.45
106 O 0.2296 0.3513 0.1448  1 Si 1.61
107 O 0.9326 0.5675 0.0336  1 S 1.49
108 O 0.0785 0.7046 0.7490  1 S 1.48
109 O 0.0695 0.6750 0.0780  1 S 1.49
110 O 0.1624 0.4782 0.0783  1 Si 1.61
111 O 0.6093 0.0087 0.3106  1 Si 1.61
112 O 0.7396 0.3297 0.7441  1 Si 1.63
113 O 0.2733 0.8376 0.7497  1 S 1.50
114 O 0.9897 0.7909 0.7974  1 S 1.46
115 O 0.5668 0.6711 0.0782  1 S 1.47
116 O 0.1532 0.8359 0.5824  1 Si 1.63
117 O 0.9247 0.3287 0.2426  1 Si 1.60
118 O 0.7654 0.8854 0.3621  1 S 1.49
119 O 0.6541 0.4521 0.4767  1 Si 1.63
120 O 0.4006 0.0144 0.8013  1 S 1.47
121 O 0.7510 0.3536 0.4206  1 Si 1.65
122 O 0.4917 0.1952 0.2989  1 S 1.47
123 O 0.0641 0.4586 0.9678  1 S 1.46
124 O 0.4266 0.3040 0.2407  1 S 1.47
125 O 0.9824 0.1766 0.3044  1 Si 1.60
126 O 0.4174 0.8300 0.6007  1 Si 1.69
127 O 0.0675 0.4629 0.5785  1 S 1.47
128 O 0.6512 0.4785 0.7560  1 Si 1.69
129 O 0.3230 0.1136 0.1463  1 Si 1.62
130 O 0.4097 0.0102 0.4073  1 Si 1.62
131 O 0.9922 0.8150 0.0915  1 S 1.50
132 O 0.2514 0.8599 0.0782  1 Si 1.63
133 O 0.2719 0.8663 0.4674  1 Si 1.60
134 O 0.4840 0.7921 0.8047  1 Si 1.59
135 O 0.2436 0.3632 0.4160  1 S 1.50
136 O 0.2423 0.3284 0.7456  1 Si 1.62
137 O 0.6750 0.8683 0.8639  1 S 1.49
138 O 0.4030 0.7929 0.3068  1 Si 1.59
139 O 0.7489 0.8573 0.0813  1 Si 1.64
140 O 0.0077 0.2031 0.9161  1 S 1.49
141 O 0.6527 0.4693 0.0826  1 Si 1.63
142 O 0.0878 0.1502 0.0941  1 Si 1.72, 1 Ta 1.90
143 O 0.0102 0.8208 0.6948  1 S 1.52
144 O 0.9058 0.8301 0.2008  1 S 1.49
145 Si 0.1453 0.9971 0.2494  4 O 1.61-1.69
146 Si 0.5027 0.7042 0.7533  4 O 1.59-1.74
147 Si 0.3374 0.0355 0.0888  4 O 1.62-1.68
148 Si 0.6488 0.9957 0.2510  4 O 1.61-1.73
149 Si 0.8148 0.6631 0.9115  4 O 1.62-1.73
150 Si 0.3489 0.7026 0.2518  4 O 1.59-1.71
151 Si 0.6804 0.0298 0.5841  4 O 1.61-1.72
152 Si 0.6764 0.3232 0.0856  4 O 1.60-1.70
153 Si 0.0024 0.3027 0.2527  4 O 1.60-1.74
154 Si 0.3147 0.9719 0.4111  4 O 1.60-1.72
155 Si 0.3357 0.6385 0.5882  4 O 1.62-1.69
156 Si 0.1821 0.3285 0.0851  4 O 1.61-1.72
157 Si 0.1489 0.2997 0.7491  4 O 1.59-1.72
158 Si 0.1764 0.0293 0.5854  4 O 1.59-1.71
159 Si 0.6441 0.2905 0.7500  4 O 1.60-1.69
160 Si 0.8362 0.0348 0.0850  4 O 1.62-1.70
161 Si 0.5175 0.3752 0.9164  4 O 1.62-1.74
162 Si 0.8380 0.6418 0.5878  4 O 1.61-1.68
163 Si 0.0183 0.6618 0.4160  4 O 1.61-1.72
164 Si 0.6663 0.3699 0.4187  4 O 1.63-1.65
165 Si 0.8505 0.9957 0.7546  4 O 1.60-1.72
166 Ta 0.1638 0.6811 0.3103  5 O 1.91-2.11
167 Ta 0.9978 0.0064 0.6520  6 O 1.92-2.11
168 Ta 0.0058 0.0245 0.1494  4 O 1.89-2.02
169 Ta 0.5059 0.9874 0.6496  4 O 1.89-2.01
170 Ta 0.4971 0.9876 0.1517  6 O 1.93-2.11
171 Ta 0.6626 0.6445 0.8100  4 O 1.89-2.04
172 S 0.1661 0.9576 0.9176  4 O 1.48-1.49
173 S 0.3146 0.6645 0.9156  4 O 1.47-1.51
174 S 0.1676 0.3807 0.4145  4 O 1.47-1.50
175 S 0.6683 0.9562 0.9148  4 O 1.48-1.50
176 S 0.3557 0.9949 0.7476  4 O 1.47-1.50
177 S 0.0160 0.3711 0.9173  4 O 1.46-1.49
178 S 0.9823 0.3226 0.5852  4 O 1.47-1.52
179 S 0.5187 0.6609 0.4172  4 O 1.47-1.49
180 S 0.0018 0.7154 0.7465  4 O 1.46-1.52
181 S 0.4816 0.6406 0.0847  4 O 1.47-1.52
182 S 0.4823 0.3209 0.5846  4 O 1.45-1.50
183 S 0.8571 0.7173 0.2481  4 O 1.45-1.50
184 S 0.8136 0.9605 0.4155  4 O 1.47-1.49
185 S 0.9839 0.6462 0.0855  4 O 1.45-1.50
186 S 0.5011 0.2878 0.2462  4 O 1.47-1.51
187 Na 0.6784 0.6740 0.1611  4 O 2.43-2.63
188 Na 0.8495 0.6512 0.4157  4 O 2.44-2.63
189 Na 0.0120 0.7005 0.5736  1 O 2.28
190 Na 0.1698 0.6511 0.1628  5 O 2.52-2.81
191 Na 0.8358 0.3386 0.8325  5 O 2.51-2.72
192 Na 0.6670 0.9925 0.0871  3 O 2.41-2.62
193 Na 0.8487 0.0142 0.9204  6 O 2.47-2.74
194 Na 0.1801 0.6877 0.6602  4 O 2.40-2.67
195 Na 0.3408 0.3381 0.8318  3 O 2.44-2.70
196 Na 0.6855 0.0044 0.7475  2 O 2.37-2.42
197 Na 0.8380 0.3436 0.3310  4 O 2.48-2.69
198 Na 0.4856 0.2878 0.4218  2 O 2.26-2.48
199 Na 0.1659 0.0172 0.4200  3 O 2.41-2.69
200 Na 0.4886 0.0097 0.9973  4 O 2.54-2.84
201 Na 0.9919 0.9882 0.9992  6 O 2.64-2.79
202 Na 0.6696 0.6894 0.6617  3 O 2.44-2.66
203 Na 0.4849 0.9825 0.4963  6 O 2.60-2.89
204 Na 0.1678 0.3422 0.5877  3 O 2.42-2.62
205 Na 0.8172 0.0197 0.2430  5 O 2.33-2.60
206 Na 0.6596 0.3364 0.5785  6 O 2.52-2.78
207 Na 0.3200 0.6177 0.7438  4 O 2.33-2.60
208 Na 0.8131 0.6288 0.7444  5 O 2.41-2.62
209 Na 0.6635 0.3129 0.9185  3 O 2.38-2.64
210 Na 0.3139 0.9987 0.2441  5 O 2.41-2.62
211 Na 0.6667 0.0555 0.4154  4 O 2.35-2.63
212 Na 0.9985 0.9854 0.5010  6 O 2.61-2.85
213 Na 0.1858 0.3670 0.2466  3 O 2.34-2.55
214 Na 0.1629 0.9888 0.0838  5 O 2.48-2.75
215 Na 0.5110 0.3223 0.0724  2 O 2.29-2.51
216 Na 0.3307 0.3451 0.3324  5 O 2.53-2.74
217 Y 0.8352 0.3450 0.4842  6 O 2.19-2.43
218 Y 0.1701 0.6612 0.0214  6 O 2.11-2.35
219 Y 0.8312 0.3340 0.1840  6 O 2.12-2.35
220 Y 0.3287 0.3357 0.1823  5 O 2.11-2.30
221 Y 0.6637 0.6595 0.3108  5 O 2.12-2.34
222 Y 0.1763 0.6908 0.5172  4 O 2.07-2.22
223 Y 0.8290 0.3353 0.9879  4 O 2.18-2.33
224 Y 0.0044 0.0091 0.8506  4 O 2.09-2.28
225 Y 0.6692 0.6687 0.5219  6 O 2.17-2.34
226 Y 0.0039 0.0069 0.3500  5 O 2.10-2.30
227 Y 0.3261 0.3318 0.4883  4 O 2.14-2.40
228 Y 0.6736 0.6594 0.0183  4 O 2.09-2.22
229 Y 0.1631 0.6553 0.8113  6 O 2.14-2.38
230 Y 0.5005 0.9922 0.3499  5 O 2.09-2.31
231 Y 0.3312 0.3295 0.6844  6 O 2.13-2.33
232 Y 0.8289 0.3206 0.6832  5 O 2.10-2.31
233 Y 0.4993 0.0016 0.8515  6 O 2.13-2.35
234 Y 0.3355 0.3213 0.9818  6 O 2.17-2.42

Crystal system: triclinic
VASP energy: -7.2152 eV/atom
Total energy after the MP2020 corrections: -7.638 eV per atom
Formation energy from the elements: -223.86 eV/f.u.
ρ: 3.19 g cm⁻³